Record 1
First-principles (PBE+U) data for an optimized crystal structure of CaMnO3, as listed in the Materials Project database.

Values from the calculation:
**E_tot**: -34.38 eV for the cell shown
**ΔE_f**: -2.419 eV per atom
**Total moment**: 0.631 μB/atom

```
CaMnO3
1.0
3.802 0.000 0.000
0.000 3.802 0.000
0.000 0.000 3.802
Ca Mn O
1 1 3
Cartesian
0.000 0.000 0.000
1.901 1.901 1.901
0.000 1.901 1.901
1.901 0.000 1.901
1.901 1.901 0.000
```

***

Record 2
First-principles (PBE+U) data for an optimized crystal structure of CaMn2O4, as listed in the Materials Project database.

Values from the calculation:
**E_tot**: -100.27 eV for the cell shown
**ΔE_f**: -2.299 eV per atom
**Energy above the most stable polymorph in this dataset**: 100 kJ/mol of formula units
**Total moment**: 1.143 μB/atom

```
CaMn2O4
1.0
7.487 -1.492 0.000
7.487 1.492 0.000
-4.844 0.000 8.047
Ca Mn O
2 4 8
Cartesian
0.000 0.000 0.000
7.148 0.000 5.301
1.198 0.000 2.740
5.753 0.000 2.578
10.997 0.000 0.189
10.967 0.000 5.042
-0.911 0.000 3.683
2.500 0.000 0.947
-0.691 0.000 7.006
4.277 0.000 4.091
2.998 0.000 6.339
7.830 0.000 1.688
9.123 0.000 3.964
12.794 0.000 1.356
```

***

Record 3
First-principles (PBE+U) data for an optimized crystal structure of Ca3MnO4, as listed in the Materials Project database.

Values from the calculation:
**E_tot**: -108.42 eV for the cell shown
**ΔE_f**: -2.957 eV per atom
**Energy above the most stable polymorph in this dataset**: 0 kJ/mol of formula units

```
Ca3MnO4
1.0
2.364 -4.740 -2.373
-2.374 2.374 -4.764
4.752 4.752 0.000
O Ca Mn
8 6 2
Cartesian
2.356 0.020 -4.783
2.331 4.797 -4.763
-0.045 2.421 -4.763
2.411 -2.411 -2.374
0.010 -0.010 -2.353
4.732 2.396 -4.783
4.787 -0.035 -2.374
2.386 2.366 -2.353
0.001 2.375 -2.382
-0.003 0.003 -4.786
4.741 0.012 -4.755
2.368 0.008 -2.351
4.744 2.384 -2.351
2.373 2.379 -4.786
0.002 4.750 -4.764
4.752 4.752 0.000
```